DFT (PBE+U) results for a relaxed Li2MnFeB2O6 crystal.

Cell lengths 5.239, 5.245, 10.441 Å; angles 88.62, 89.67, 60.25 degrees
Positions (direct):
1 Li 0.000 0.000 0.000
2 Li 0.014 0.316 0.750
3 Li 0.963 0.340 0.250
4 Li 0.978 0.009 0.501
5 Mn 0.322 0.335 0.036
6 Mn 0.668 0.985 0.782
7 Fe 0.304 0.669 0.287
8 Fe 0.663 0.660 0.532
9 B 0.325 0.332 0.539
10 B 0.334 0.658 0.790
11 B 0.648 0.999 0.293
12 B 0.649 0.669 0.043
13 O 0.070 0.317 0.553
14 O 0.088 0.934 0.805
15 O 0.312 0.595 0.501
16 O 0.314 0.408 0.821
17 O 0.375 0.701 0.074
18 O 0.384 0.246 0.255
19 O 0.596 0.081 0.568
20 O 0.600 0.629 0.749
21 O 0.661 0.731 0.321
22 O 0.670 0.912 0.000
23 O 0.900 0.395 0.057
24 O 0.902 0.019 0.306

Properties
Magnetization ... 9.0 μB/f.u.
Uncorrected energy ... -7.12 eV/atom
ρ ... 3.2 g/cm³
Polymorph energy (0 for the lowest one) ... 1.1 meV/atom
DFT formation energy ... -29.034 eV per formula unit

DFT (PBE+U) results for a relaxed Li2MnFeB2O6 crystal.

Cell lengths 8.244, 3.165, 14.309 Å; angles 90.00, 90.15, 90.00 degrees
Positions (direct):
1 Li 0.000 0.000 0.000
2 Li 0.026 0.000 0.293
3 Li 0.074 0.000 0.659
4 Li 0.499 0.000 0.500
5 Li 0.525 0.000 0.793
6 Li 0.574 0.000 0.160
7 Mn 0.233 0.500 0.145
8 Mn 0.675 0.500 0.971
9 Mn 0.734 0.500 0.644
10 Fe 0.179 0.500 0.470
11 Fe 0.191 0.500 0.834
12 Fe 0.692 0.500 0.335
13 B 0.365 0.000 0.983
14 B 0.366 0.500 0.651
15 B 0.368 0.000 0.318
16 B 0.867 0.500 0.152
17 B 0.868 0.000 0.483
18 B 0.869 0.000 0.817
19 O 0.004 0.500 0.209
20 O 0.021 0.000 0.860
21 O 0.022 0.000 0.523
22 O 0.213 0.500 0.692
23 O 0.228 0.000 0.039
24 O 0.229 0.000 0.373
25 O 0.349 0.000 0.886
26 O 0.356 0.000 0.222
27 O 0.380 0.500 0.554
28 O 0.504 0.500 0.707
29 O 0.518 0.000 0.025
30 O 0.520 0.000 0.361
31 O 0.713 0.500 0.193
32 O 0.729 0.000 0.871
33 O 0.730 0.000 0.539
34 O 0.850 0.000 0.386
35 O 0.858 0.000 0.721
36 O 0.884 0.500 0.055

Properties
Magnetization ... 9.0 μB/f.u.
Uncorrected energy ... -7.12 eV/atom
ρ ... 3.2 g/cm³
Polymorph energy (0 for the lowest one) ... 2.6 meV/atom
DFT formation energy ... -29.016 eV per formula unit

DFT (PBE+U) results for a relaxed Li4MnFe3B4O12 crystal.

Cell lengths 5.232, 6.168, 9.006 Å; angles 73.54, 88.70, 65.51 degrees
Positions (direct):
1 Li 0.000 0.000 0.000
2 Li 0.132 0.343 0.263
3 Li 0.500 0.997 0.499
4 Li 0.632 0.344 0.766
5 Mn 0.033 0.900 0.685
6 Fe 0.095 0.435 0.580
7 Fe 0.539 0.902 0.182
8 Fe 0.594 0.438 0.082
9 B 0.015 0.928 0.346
10 B 0.117 0.409 0.917
11 B 0.515 0.932 0.848
12 B 0.616 0.412 0.416
13 O 0.223 0.490 0.778
14 O 0.258 0.965 0.350
15 O 0.269 0.354 0.059
16 O 0.368 0.991 0.705
17 O 0.374 0.375 0.412
18 O 0.409 0.845 0.986
19 O 0.721 0.494 0.277
20 O 0.758 0.968 0.855
21 O 0.766 0.357 0.558
22 O 0.863 0.987 0.203
23 O 0.874 0.376 0.913
24 O 0.911 0.842 0.483

Properties
Magnetization ... 17.0 μB/f.u.
Uncorrected energy ... -7.02 eV/atom
ρ ... 3.2 g/cm³
Polymorph energy (0 for the lowest one) ... 2.8 meV/atom
DFT formation energy ... -56.953 eV per formula unit

DFT (PBE+U) results for a relaxed Li8Mn7FeB8O24 crystal.

Cell lengths 5.258, 9.113, 10.522 Å; angles 88.39, 88.99, 89.75 degrees
Positions (direct):
1 Li 0.000 0.000 0.000
2 Li 0.014 0.995 0.500
3 Li 0.325 0.344 0.251
4 Li 0.366 0.330 0.751
5 Li 0.498 0.501 0.001
6 Li 0.514 0.495 0.501
7 Li 0.824 0.844 0.252
8 Li 0.865 0.830 0.751
9 Mn 0.009 0.334 0.966
10 Mn 0.009 0.668 0.467
11 Mn 0.356 0.669 0.717
12 Mn 0.507 0.166 0.465
13 Mn 0.507 0.835 0.969
14 Mn 0.837 0.509 0.216
15 Mn 0.855 0.168 0.716
16 Fe 0.332 0.010 0.216
17 B 0.005 0.337 0.458
18 B 0.014 0.667 0.959
19 B 0.335 0.673 0.210
20 B 0.351 0.999 0.709
21 B 0.505 0.837 0.458
22 B 0.514 0.168 0.960
23 B 0.838 0.169 0.208
24 B 0.851 0.499 0.709
25 O 0.000 0.380 0.750
26 O 0.081 0.686 0.250
27 O 0.091 0.984 0.694
28 O 0.267 0.348 0.444
29 O 0.274 0.651 0.929
30 O 0.351 0.958 0.427
31 O 0.372 0.047 0.002
32 O 0.395 0.705 0.501
33 O 0.402 0.305 0.945
34 O 0.444 0.535 0.194
35 O 0.466 0.134 0.679
36 O 0.478 0.799 0.181
37 O 0.500 0.880 0.750
38 O 0.583 0.180 0.247
39 O 0.591 0.484 0.694
40 O 0.767 0.849 0.444
41 O 0.774 0.151 0.930
42 O 0.851 0.459 0.428
43 O 0.872 0.546 0.001
44 O 0.894 0.205 0.500
45 O 0.900 0.804 0.945
46 O 0.953 0.033 0.196
47 O 0.966 0.634 0.679
48 O 0.979 0.296 0.180

Properties
Magnetization ... 39.0 μB/f.u.
Uncorrected energy ... -7.27 eV/atom
ρ ... 3.2 g/cm³
DFT formation energy ... -119.282 eV per formula unit

DFT (PBE+U) results for a relaxed Li2MnFeB2O6 crystal.

Cell lengths 5.216, 5.238, 10.486 Å; angles 90.87, 91.00, 119.75 degrees
Positions (direct):
1 Li 0.000 0.000 0.000
2 Li 0.017 0.997 0.500
3 Li 0.316 0.330 0.252
4 Li 0.341 0.307 0.749
5 Mn 0.332 0.659 0.968
6 Mn 0.666 0.982 0.715
7 Fe 0.682 0.329 0.462
8 Fe 0.980 0.657 0.215
9 B 0.004 0.653 0.707
10 B 0.333 0.661 0.457
11 B 0.660 0.991 0.211
12 B 0.666 0.320 0.960
13 O 0.034 0.928 0.692
14 O 0.081 0.685 0.428
15 O 0.243 0.623 0.750
16 O 0.318 0.391 0.443
17 O 0.391 0.296 0.944
18 O 0.405 0.723 0.182
19 O 0.593 0.911 0.497
20 O 0.640 0.237 0.248
21 O 0.700 0.078 0.930
22 O 0.733 0.403 0.676
23 O 0.908 0.584 0.004
24 O 0.935 0.013 0.197

Properties
Magnetization ... 9.0 μB/f.u.
Uncorrected energy ... -7.12 eV/atom
ρ ... 3.2 g/cm³
Polymorph energy (0 for the lowest one) ... 1.6 meV/atom
DFT formation energy ... -29.028 eV per formula unit

DFT (PBE+U) results for a relaxed Li6MnFe5B6O18 crystal.

Cell lengths 8.255, 12.544, 8.256 Å; angles 90.00, 119.96, 90.00 degrees
Positions (direct):
1 Li 0.000 0.125 0.000
2 Li 0.000 0.374 0.000
3 Li 0.000 0.626 0.000
4 Li 0.000 0.875 0.000
5 Li 0.269 0.125 0.682
6 Li 0.269 0.374 0.682
7 Li 0.269 0.626 0.682
8 Li 0.269 0.875 0.682
9 Li 0.587 0.375 0.268
10 Li 0.587 0.625 0.268
11 Li 0.588 0.125 0.270
12 Li 0.588 0.875 0.270
13 Mn 0.297 0.500 0.355
14 Mn 0.645 0.500 0.972
15 Fe 0.293 0.000 0.351
16 Fe 0.293 0.249 0.352
17 Fe 0.293 0.751 0.352
18 Fe 0.646 0.000 0.976
19 Fe 0.646 0.249 0.976
20 Fe 0.646 0.751 0.976
21 Fe 0.918 0.000 0.624
22 Fe 0.918 0.250 0.624
23 Fe 0.918 0.750 0.624
24 Fe 0.920 0.500 0.626
25 B 0.283 0.500 0.983
26 B 0.285 0.249 0.984
27 B 0.285 0.751 0.984
28 B 0.286 0.000 0.984
29 B 0.619 0.125 0.651
30 B 0.619 0.373 0.650
31 B 0.619 0.627 0.650
32 B 0.619 0.875 0.651
33 B 0.952 0.124 0.317
34 B 0.952 0.372 0.318
35 B 0.952 0.628 0.318
36 B 0.952 0.876 0.317
37 O 0.146 0.124 0.403
38 O 0.146 0.372 0.404
39 O 0.146 0.628 0.404
40 O 0.146 0.876 0.403
41 O 0.168 0.500 0.062
42 O 0.176 0.000 0.069
43 O 0.176 0.249 0.069
44 O 0.176 0.751 0.069
45 O 0.200 0.249 0.789
46 O 0.200 0.751 0.789
47 O 0.201 0.000 0.789
48 O 0.203 0.500 0.789
49 O 0.477 0.500 0.097
50 O 0.480 0.000 0.093
51 O 0.480 0.249 0.093
52 O 0.480 0.751 0.093
53 O 0.504 0.124 0.457
54 O 0.504 0.876 0.457
55 O 0.506 0.373 0.456
56 O 0.506 0.627 0.456
57 O 0.539 0.373 0.763
58 O 0.539 0.627 0.763
59 O 0.540 0.125 0.766
60 O 0.540 0.875 0.766
61 O 0.813 0.125 0.729
62 O 0.813 0.375 0.730
63 O 0.813 0.625 0.730
64 O 0.813 0.875 0.729
65 O 0.844 0.124 0.123
66 O 0.844 0.372 0.124
67 O 0.844 0.628 0.124
68 O 0.844 0.876 0.123
69 O 0.866 0.125 0.426
70 O 0.866 0.375 0.426
71 O 0.866 0.625 0.426
72 O 0.866 0.875 0.426

Properties
Magnetization ... 25.0 μB/f.u.
Uncorrected energy ... -6.99 eV/atom
ρ ... 3.3 g/cm³
DFT formation energy ... -84.846 eV per formula unit

DFT (PBE+U) results for a relaxed Li6Mn5FeB6O18 crystal.

Cell lengths 8.266, 6.365, 8.278 Å; angles 90.00, 119.92, 90.00 degrees
Positions (direct):
1 Li 0.000 0.250 0.000
2 Li 0.000 0.750 0.000
3 Li 0.267 0.250 0.682
4 Li 0.267 0.750 0.682
5 Li 0.586 0.250 0.267
6 Li 0.586 0.750 0.267
7 Mn 0.297 0.000 0.355
8 Mn 0.297 0.500 0.356
9 Mn 0.644 0.000 0.971
10 Mn 0.645 0.500 0.972
11 Mn 0.913 0.000 0.624
12 Fe 0.918 0.500 0.624
13 B 0.282 0.500 0.983
14 B 0.285 0.000 0.984
15 B 0.619 0.251 0.650
16 B 0.619 0.749 0.650
17 B 0.951 0.252 0.318
18 B 0.951 0.748 0.318
19 O 0.145 0.250 0.403
20 O 0.145 0.750 0.403
21 O 0.169 0.000 0.062
22 O 0.169 0.500 0.063
23 O 0.201 0.500 0.789
24 O 0.207 0.000 0.790
25 O 0.476 0.500 0.095
26 O 0.478 0.000 0.099
27 O 0.507 0.250 0.457
28 O 0.507 0.750 0.457
29 O 0.536 0.250 0.761
30 O 0.536 0.750 0.761
31 O 0.813 0.252 0.731
32 O 0.813 0.748 0.731
33 O 0.844 0.250 0.124
34 O 0.844 0.750 0.124
35 O 0.865 0.254 0.425
36 O 0.865 0.746 0.425

Properties
Magnetization ... 29.0 μB/f.u.
Uncorrected energy ... -7.26 eV/atom
ρ ... 3.2 g/cm³
DFT formation energy ... -89.308 eV per formula unit

DFT (PBE+U) results for a relaxed Li2MnFeB2O6 crystal.

Cell lengths 8.261, 6.313, 8.269 Å; angles 90.00, 119.96, 90.00 degrees
Positions (direct):
1 Li 0.000 0.249 0.000
2 Li 0.000 0.751 0.000
3 Li 0.413 0.250 0.732
4 Li 0.413 0.750 0.732
5 Li 0.681 0.250 0.413
6 Li 0.681 0.750 0.413
7 Mn 0.059 0.000 0.703
8 Mn 0.326 0.500 0.356
9 Mn 0.711 0.500 0.087
10 Fe 0.057 0.500 0.708
11 Fe 0.331 0.000 0.355
12 Fe 0.706 0.000 0.083
13 B 0.032 0.249 0.382
14 B 0.032 0.751 0.382
15 B 0.365 0.248 0.049
16 B 0.365 0.752 0.049
17 B 0.698 0.000 0.718
18 B 0.698 0.500 0.713
19 O 0.225 0.248 0.463
20 O 0.225 0.752 0.463
21 O 0.257 0.254 0.855
22 O 0.257 0.746 0.855
23 O 0.279 0.246 0.156
24 O 0.279 0.754 0.156
25 O 0.559 0.246 0.134
26 O 0.559 0.754 0.134
27 O 0.586 0.000 0.801
28 O 0.586 0.500 0.794
29 O 0.613 0.000 0.523
30 O 0.619 0.500 0.520
31 O 0.891 0.000 0.828
32 O 0.893 0.500 0.826
33 O 0.919 0.247 0.188
34 O 0.919 0.753 0.188
35 O 0.951 0.252 0.495
36 O 0.951 0.748 0.495

Properties
Magnetization ... 9.0 μB/f.u.
Uncorrected energy ... -7.12 eV/atom
ρ ... 3.2 g/cm³
Polymorph energy (0 for the lowest one) ... 1.5 meV/atom
DFT formation energy ... -29.029 eV per formula unit

DFT (PBE+U) results for a relaxed Li2MnFeB2O6 crystal.

Cell lengths 5.260, 6.210, 7.917 Å; angles 102.20, 91.96, 88.83 degrees
Positions (direct):
1 B 0.426 0.764 0.502
2 B 0.574 0.237 0.497
3 B 0.926 0.264 0.002
4 B 0.073 0.737 0.997
5 O 0.459 0.154 0.334
6 O 0.927 0.838 0.133
7 O 0.034 0.340 0.168
8 O 0.835 0.206 0.520
9 O 0.960 0.654 0.834
10 O 0.427 0.338 0.633
11 O 0.534 0.840 0.668
12 O 0.335 0.707 0.021
13 O 0.167 0.796 0.473
14 O 0.667 0.296 0.973
15 O 0.578 0.666 0.367
16 O 0.078 0.166 0.867
17 Li 0.571 0.870 0.196
18 Li 0.071 0.370 0.696
19 Li 0.432 0.130 0.803
20 Li 0.932 0.630 0.303
21 Fe 0.570 0.591 0.828
22 Fe 0.071 0.091 0.328
23 Mn 0.427 0.408 0.178
24 Mn 0.928 0.908 0.678

Properties
Magnetization ... 0.0 μB/f.u.
Uncorrected energy ... -7.12 eV/atom
ρ ... 3.2 g/cm³
Polymorph energy (0 for the lowest one) ... 2.7 meV/atom
DFT formation energy ... -29.015 eV per formula unit

DFT (PBE+U) results for a relaxed Li2MnFeB2O6 crystal.

Cell lengths 8.255, 3.166, 14.297 Å; angles 90.00, 90.02, 90.00 degrees
Positions (direct):
1 Li 0.000 0.000 0.000
2 Li 0.025 0.000 0.706
3 Li 0.074 0.000 0.342
4 Li 0.502 0.000 0.500
5 Li 0.528 0.000 0.209
6 Li 0.574 0.000 0.839
7 Mn 0.193 0.500 0.164
8 Mn 0.233 0.500 0.855
9 Mn 0.676 0.500 0.029
10 Fe 0.179 0.500 0.529
11 Fe 0.691 0.500 0.665
12 Fe 0.731 0.500 0.354
13 B 0.367 0.000 0.016
14 B 0.367 0.500 0.350
15 B 0.368 0.000 0.681
16 B 0.866 0.000 0.184
17 B 0.867 0.000 0.516
18 B 0.868 0.500 0.848
19 O 0.004 0.500 0.791
20 O 0.016 0.000 0.140
21 O 0.021 0.000 0.477
22 O 0.214 0.500 0.310
23 O 0.228 0.000 0.627
24 O 0.228 0.000 0.961
25 O 0.354 0.000 0.113
26 O 0.356 0.000 0.778
27 O 0.382 0.500 0.447
28 O 0.506 0.500 0.295
29 O 0.519 0.000 0.974
30 O 0.520 0.000 0.639
31 O 0.714 0.500 0.808
32 O 0.726 0.000 0.130
33 O 0.731 0.000 0.458
34 O 0.848 0.000 0.613
35 O 0.855 0.000 0.281
36 O 0.885 0.500 0.945

Properties
Magnetization ... 9.0 μB/f.u.
Uncorrected energy ... -7.12 eV/atom
ρ ... 3.2 g/cm³
Polymorph energy (0 for the lowest one) ... 2.7 meV/atom
DFT formation energy ... -29.015 eV per formula unit